# 1
Computed, not measured: a relaxed Na10Sc2Ta6Si11SO48 crystal at the PBE level of DFT.

Results
**VASP energy**: -7.7489 eV per atom
**Crystal system**: triclinic

Lattice parameters (Å, degrees): 9.0361 15.6090 22.7050 90.03 90.02 90.07
Atoms (fractional coordinates):
Na 0.0000 0.0000 0.0000
Na 0.0019 0.0335 0.6651
Na 0.0048 0.6976 0.3319
Na 0.0135 0.3706 0.0018
Na 0.1480 0.1709 0.1679
Na 0.1928 0.1884 0.5008
Na 0.3113 0.6891 0.7495
Na 0.3172 0.6843 0.2494
Na 0.3191 0.3585 0.9200
Na 0.3214 0.3609 0.4205
Na 0.3276 0.0124 0.5803
Na 0.3349 0.0167 0.0896
Na 0.4518 0.1901 0.0029
Na 0.4961 0.8384 0.3316
Na 0.5002 0.1716 0.6641
Na 0.5044 0.1983 0.3316
Na 0.5130 0.8675 0.0021
Na 0.5168 0.5350 0.6659
Na 0.6317 0.3704 0.5007
Na 0.6403 0.6997 0.8306
Na 0.6464 0.3397 0.8306
Na 0.6474 0.6697 0.1678
Na 0.8171 0.1848 0.2493
Na 0.8254 0.5231 0.5856
Na 0.8252 0.8544 0.9161
Na 0.8261 0.8564 0.4196
Na 0.8277 0.5160 0.0875
Na 0.8294 0.1881 0.7496
Na 0.9513 0.6882 0.0015
Na 0.9964 0.3397 0.3313
Sc 0.3195 0.3526 0.0621
Sc 0.3253 0.3522 0.5610
Sc 0.3335 0.0173 0.2316
Sc 0.8139 0.8479 0.0631
Sc 0.8209 0.5209 0.7315
Sc 0.8336 0.5168 0.2315
Ta 0.3163 0.6846 0.8947
Ta 0.3162 0.6904 0.1022
Ta 0.3194 0.3469 0.7722
Ta 0.3211 0.3481 0.2708
Ta 0.3217 0.0152 0.7287
Ta 0.3219 0.0193 0.9348
Ta 0.3224 0.6845 0.3976
Ta 0.3225 0.0153 0.4366
Ta 0.3255 0.6919 0.6007
Ta 0.8144 0.1922 0.1025
Ta 0.8202 0.5194 0.9354
Ta 0.8204 0.8474 0.2706
Ta 0.8205 0.8508 0.5610
Ta 0.8214 0.1885 0.6030
Ta 0.8232 0.5219 0.4374
Ta 0.8245 0.1834 0.3967
Ta 0.8250 0.8522 0.7701
Ta 0.8265 0.1840 0.8938
Si 0.0285 0.3547 0.1640
Si 0.0321 0.0182 0.8319
Si 0.0337 0.6859 0.4999
Si 0.1094 0.1846 0.0001
Si 0.1090 0.8490 0.6654
Si 0.1146 0.5195 0.3331
Si 0.1738 0.1600 0.3314
Si 0.1746 0.2078 0.6647
Si 0.1749 0.8751 0.3320
Si 0.1769 0.8320 0.9981
Si 0.1797 0.5406 0.9990
Si 0.4674 0.2055 0.1641
Si 0.4672 0.5414 0.5001
Si 0.4678 0.1617 0.8318
Si 0.4682 0.8738 0.8328
Si 0.4695 0.8320 0.4979
Si 0.5264 0.8543 0.1644
Si 0.5286 0.5195 0.8314
Si 0.5327 0.1830 0.4988
Si 0.6076 0.6826 0.9988
Si 0.6148 0.0192 0.3327
Si 0.6150 0.3544 0.6653
Si 0.6713 0.6603 0.3306
Si 0.6758 0.3324 0.9965
Si 0.6758 0.3759 0.3333
Si 0.6760 0.9946 0.6654
Si 0.6777 0.0422 0.9989
Si 0.6778 0.7072 0.6658
Si 0.9657 0.0393 0.5003
Si 0.9676 0.3330 0.4986
Si 0.9683 0.3758 0.8322
Si 0.9689 0.6639 0.8316
Si 0.9694 0.7046 0.1645
S 0.1786 0.4966 0.6658
S 0.4645 0.4969 0.1657
S 0.9650 0.9975 0.1653
O 0.0013 0.8439 0.0035
O 0.0019 0.8702 0.6094
O 0.0032 0.1654 0.0579
O 0.0028 0.8381 0.7235
O 0.0038 0.5006 0.3899
O 0.0158 0.5435 0.2771
O 0.0173 0.5080 0.6727
O 0.1258 0.0099 0.1715
O 0.1284 0.3638 0.1058
O 0.1369 0.7000 0.4411
O 0.1391 0.0056 0.8906
O 0.1389 0.0324 0.7744
O 0.1417 0.3377 0.2226
O 0.1439 0.3361 0.5036
O 0.1450 0.6721 0.5564
O 0.1464 0.6779 0.8420
O 0.1468 0.0363 0.4919
O 0.1487 0.3649 0.8244
O 0.1523 0.6974 0.1595
O 0.1961 0.1089 0.2715
O 0.2060 0.4454 0.6130
O 0.2077 0.9357 0.3904
O 0.2086 0.6062 0.0556
O 0.2100 0.2695 0.7224
O 0.2107 0.9372 0.6738
O 0.2119 0.0973 0.9919
O 0.2122 0.7692 0.9430
O 0.2139 0.2677 0.0016
O 0.2153 0.7651 0.6586
O 0.2158 0.4323 0.3241
O 0.2184 0.6048 0.3430
O 0.2445 0.4457 0.0022
O 0.2447 0.7782 0.3423
O 0.2483 0.1115 0.6757
O 0.2491 0.4552 0.7193
O 0.2496 0.5914 0.9424
O 0.2522 0.2588 0.3256
O 0.2547 0.2444 0.6070
O 0.2550 0.5829 0.6617
O 0.2567 0.1194 0.3900
O 0.2595 0.7866 0.0558
O 0.2599 0.9258 0.9922
O 0.2607 0.9133 0.2768
O 0.3842 0.1146 0.1704
O 0.3894 0.9256 0.4922
O 0.3914 0.9227 0.7767
O 0.3917 0.7850 0.5553
O 0.3926 0.1182 0.8906
O 0.3944 0.5851 0.1615
O 0.3945 0.5924 0.4438
O 0.3949 0.2584 0.8251
O 0.3974 0.7783 0.8396
O 0.3982 0.2503 0.1064
O 0.3977 0.4555 0.2195
O 0.3992 0.4463 0.5027
O 0.4178 0.9343 0.1700
O 0.4247 0.0992 0.4923
O 0.4282 0.4317 0.8244
O 0.4279 0.6049 0.8426
O 0.4320 0.2685 0.5019
O 0.4333 0.1037 0.7738
O 0.4339 0.6016 0.5587
O 0.4342 0.9345 0.8910
O 0.4354 0.2682 0.2235
O 0.4352 0.7734 0.4400
O 0.4362 0.7600 0.1602
O 0.4372 0.4464 0.1130
O 0.4937 0.6963 0.6586
O 0.4948 0.3614 0.3252
O 0.4959 0.0349 0.9918
O 0.4958 0.6821 0.3412
O 0.4967 0.0103 0.6732
O 0.5004 0.3367 0.0027
O 0.5014 0.6999 0.9415
O 0.5017 0.3371 0.7233
O 0.5030 0.6701 0.0579
O 0.5038 0.0008 0.3896
O 0.5119 0.3679 0.6079
O 0.5158 0.0435 0.2770
O 0.6235 0.5410 0.7737
O 0.6260 0.5101 0.1722
O 0.6262 0.8650 0.1058
O 0.6393 0.1701 0.5575
O 0.6418 0.1980 0.4420
O 0.6417 0.5014 0.8882
O 0.6417 0.8382 0.2224
O 0.6456 0.1777 0.8389
O 0.6473 0.8405 0.5060
O 0.6468 0.8628 0.8255
O 0.6482 0.5330 0.4915
O 0.6512 0.1975 0.1593
O 0.6950 0.6095 0.2707
O 0.7069 0.1062 0.0557
O 0.7066 0.4341 0.3927
O 0.7074 0.7683 0.7245
O 0.7098 0.2626 0.6601
O 0.7099 0.9360 0.6081
O 0.7116 0.2695 0.9402
O 0.7128 0.7675 0.0018
O 0.7155 0.9320 0.3241
O 0.7171 0.4379 0.6712
O 0.7168 0.5990 0.9917
O 0.7182 0.1044 0.3429
O 0.7452 0.2777 0.3429
O 0.7455 0.6122 0.6681
O 0.7486 0.7593 0.6096
O 0.7523 0.0906 0.6585
O 0.7521 0.0905 0.9422
O 0.7520 0.7588 0.3255
O 0.7527 0.9490 0.0027
O 0.7572 0.9508 0.7226
O 0.7580 0.6178 0.3875
O 0.7595 0.2852 0.0544
O 0.7612 0.4132 0.2776
O 0.7646 0.4237 0.9920
O 0.8812 0.4134 0.7769
O 0.8807 0.4242 0.4927
O 0.8842 0.6145 0.1705
O 0.8851 0.7584 0.8268
O 0.8857 0.2831 0.5550
O 0.8890 0.6197 0.8909
O 0.8912 0.9457 0.5065
O 0.8934 0.0889 0.4435
O 0.8926 0.2800 0.8430
O 0.8944 0.0853 0.1615
O 0.8978 0.9547 0.2182
O 0.9001 0.7502 0.1068
O 0.9180 0.4339 0.1700
O 0.9294 0.7705 0.5078
O 0.9285 0.9336 0.8252
O 0.9296 0.1038 0.8399
O 0.9305 0.6004 0.4911
O 0.9322 0.2710 0.4414
O 0.9354 0.7681 0.2235
O 0.9362 0.2601 0.1594
O 0.9384 0.1022 0.5581
O 0.9377 0.4339 0.8923
O 0.9376 0.9480 0.1110
O 0.9441 0.6060 0.7752
O 0.9944 0.1930 0.6602
O 0.9938 0.8618 0.3250
O 0.9974 0.1815 0.3415
O 0.9967 0.5362 0.9918
O 0.9978 0.1976 0.9439

# 2
Computed, not measured: a relaxed Na3ScTiSi2SO12 crystal at the PBE level of DFT.

Results
**VASP energy**: -7.0871 eV per atom

Lattice parameters (Å, degrees): 9.0134 9.0134 22.4394 88.68 91.32 119.54
Atoms (fractional coordinates):
O 0.9749 0.1852 0.3015
O 0.1461 0.6379 0.0775
O 0.6416 0.5185 0.6349
O 0.8186 0.8213 0.9125
O 0.3092 0.4590 0.4773
O 0.4631 0.1640 0.5251
O 0.8210 0.8016 0.5892
O 0.0208 0.8174 0.4110
O 0.9758 0.7923 0.8106
O 0.8516 0.0365 0.0902
O 0.4499 0.3043 0.0283
O 0.3004 0.4783 0.7560
O 0.0290 0.2168 0.1949
O 0.0303 0.8436 0.6945
O 0.5027 0.8702 0.3584
O 0.4907 0.1271 0.6429
O 0.4853 0.1546 0.2458
O 0.2968 0.8151 0.2569
O 0.5395 0.8426 0.4762
O 0.2062 0.1760 0.8096
O 0.9635 0.1484 0.5902
O 0.8551 0.3663 0.9226
O 0.6969 0.1769 0.0278
O 0.3621 0.8539 0.5775
O 0.5121 0.8480 0.0791
O 0.1165 0.6376 0.3616
O 0.6337 0.1449 0.4226
O 0.4815 0.3584 0.1349
O 0.6302 0.4818 0.9235
O 0.1826 0.9792 0.9110
O 0.2077 0.0242 0.3106
O 0.8454 0.5147 0.7458
O 0.1564 0.9697 0.1945
O 0.8231 0.3031 0.5278
O 0.7832 0.9710 0.6949
O 0.6957 0.5501 0.5283
O 0.1694 0.2035 0.6917
O 0.8240 0.7938 0.3096
O 0.8492 0.3125 0.2443
O 0.8360 0.5369 0.0251
O 0.1544 0.4683 0.2558
O 0.5159 0.6458 0.5777
O 0.6954 0.5206 0.2442
O 0.9670 0.8116 0.0893
O 0.1884 0.0330 0.5893
O 0.1520 0.4879 0.5791
O 0.5217 0.6996 0.2560
O 0.1984 0.1790 0.0892
O 0.3083 0.8519 0.9682
O 0.5317 0.8456 0.7558
O 0.1787 0.1814 0.4125
O 0.7965 0.8306 0.1917
O 0.6875 0.1508 0.7443
O 0.8148 0.0251 0.8015
O 0.5182 0.3698 0.4235
O 0.3636 0.5102 0.3612
O 0.1849 0.7032 0.7569
O 0.1298 0.4973 0.8584
O 0.3624 0.8835 0.8616
O 0.4877 0.1350 0.9225
O 0.8743 0.3575 0.6439
O 0.4898 0.6364 0.8612
O 0.8127 0.9712 0.4108
O 0.4794 0.3046 0.7442
O 0.5410 0.6908 0.9773
O 0.1481 0.6917 0.4682
O 0.6425 0.1257 0.1439
O 0.0288 0.1873 0.9108
O 0.3542 0.4841 0.0777
O 0.1574 0.4605 0.9762
O 0.8650 0.5123 0.4225
O 0.8729 0.5093 0.1429
Na 0.2969 0.3352 0.5796
Na 0.6648 0.7031 0.0796
Na 0.6653 0.9721 0.5819
Na 0.3320 0.3054 0.9153
Na 0.9635 0.6685 0.9129
Na 0.3195 0.6658 0.6647
Na 0.6302 0.0018 0.2463
Na 0.9986 0.6387 0.2486
Na 0.0009 0.0138 0.4981
Na 0.3342 0.6805 0.1647
Na 0.3613 0.0014 0.7486
Na 0.3315 0.0365 0.4129
Na 0.0279 0.3347 0.0819
Na 0.9982 0.3698 0.7463
Na 0.6946 0.6680 0.4153
Na 0.6675 0.3471 0.8314
Na 0.9862 0.9991 0.9981
Na 0.6529 0.3325 0.3314
Ti 0.3189 0.6357 0.8138
Ti 0.6977 0.3477 0.9804
Ti 0.9856 0.9690 0.1471
Ti 0.6523 0.3023 0.4804
Ti 0.0310 0.0144 0.6471
Ti 0.3643 0.6811 0.3138
S 0.3717 0.3275 0.0818
S 0.7050 0.9942 0.7485
S 0.6725 0.6283 0.5818
S 0.3391 0.9616 0.9151
S 0.0058 0.2950 0.2485
S 0.0384 0.6609 0.4151
Si 0.0416 0.3697 0.9187
Si 0.2917 0.9990 0.2521
Si 0.0010 0.7083 0.7521
Si 0.9584 0.3323 0.5854
Si 0.3344 0.3749 0.4187
Si 0.3749 0.0364 0.5854
Si 0.7083 0.7031 0.2520
Si 0.6677 0.0416 0.0854
Si 0.9636 0.6251 0.0854
Si 0.6251 0.6656 0.9187
Si 0.2969 0.2917 0.7520
Si 0.6303 0.9584 0.4187
Sc 0.3262 0.6607 0.5182
Sc 0.6727 0.3405 0.6849
Sc 0.3393 0.6738 0.0182
Sc 0.6595 0.3273 0.1849
Sc 0.0060 0.0072 0.3516
Sc 0.9928 0.9940 0.8516